No. 1
Entry from Materials Project: a relaxed MgSi crystal (PBE).

Properties
DFT total energy (eV per cell): -13.571
Space group: Cmcm, No. 63
Energy of formation from the pure elements (eV per atom): 0.1556

Unit cell a=5.6302 b=5.6302 c=4.3402 alpha=90.00 beta=90.00 gamma=149.04
Element x y z (fractional)
Mg 0.1684 0.8316 0.2500
Mg 0.8316 0.1684 0.7500
Si 0.4294 0.5706 0.2500
Si 0.5706 0.4294 0.7500


No. 2
Entry from Materials Project: a relaxed AlCu3O6 crystal (PBE).

Properties
Distance to the lowest polymorph of the same formula (meV/atom): 0
DFT total energy (eV per cell): -50.041
Space group: C2/m, No. 12
Energy of formation from the pure elements (eV per atom): -0.8432

Unit cell a=5.8995 b=5.8995 c=9.3414 alpha=61.75 beta=61.75 gamma=27.92
Element x y z (fractional)
O 0.6345 0.6345 0.0328
O 0.6811 0.6811 0.3336
O 0.3655 0.3655 0.9672
O 0.9589 0.9589 0.3977
O 0.3189 0.3189 0.6664
O 0.0411 0.0411 0.6023
Cu 0.8240 0.8240 0.3537
Cu 0.1760 0.1760 0.6463
Cu 0.5000 0.5000 0.0000
Al 0.5000 0.5000 0.5000


No. 3
Entry from Materials Project: a relaxed CoC2N2 crystal (PBE).

Properties
Distance to the lowest polymorph of the same formula (meV/atom): 0
DFT total energy (eV per cell): -161.169
Space group: Cmce, No. 64
Energy of formation from the pure elements (eV per atom): 0.2449

Unit cell a=4.8616 b=6.9089 c=13.9522 alpha=90.00 beta=90.00 gamma=44.72
Element x y z (fractional)
C 0.3699 0.9771 0.1034
C 0.6301 0.0229 0.8966
C 0.6301 0.8470 0.3966
C 0.3699 0.4771 0.3966
C 0.6301 0.5229 0.6034
C 0.3699 0.6530 0.8966
C 0.3699 0.1530 0.6034
C 0.6301 0.3470 0.1034
N 0.3891 0.5876 0.1067
N 0.6109 0.9767 0.1067
N 0.6109 0.9124 0.6067
N 0.6109 0.4767 0.3933
N 0.3891 0.0876 0.3933
N 0.6109 0.4124 0.8933
N 0.3891 0.0233 0.8933
N 0.3891 0.5233 0.6067
Co 0.0000 0.5284 0.5981
Co 0.0000 0.9716 0.0981
Co 0.0000 0.4716 0.4019
Co 0.0000 0.0284 0.9019


No. 4
Entry from Materials Project: a relaxed GaPd crystal (PBE).

Properties
DFT total energy (eV per cell): -9.289
Space group: R-3m, No. 166
Energy of formation from the pure elements (eV per atom): -0.5404

Unit cell a=4.4092 b=4.4092 c=4.4091 alpha=39.35 beta=39.35 gamma=39.35
Element x y z (fractional)
Ga 0.0000 0.0000 0.0000
Pd 0.5000 0.5000 0.5000


No. 5
Entry from Materials Project: a relaxed ZrSO crystal (PBE).

Properties
Maximum piezoelectric response (C/m2): 0.6
Distance to the lowest polymorph of the same formula (meV/atom): 0
DFT total energy (eV per cell): -99.937
Space group: P2_13, No. 198
Energy of formation from the pure elements (eV per atom): -2.8474

Unit cell a=5.7725 b=5.7725 c=5.7725 alpha=90.00 beta=90.00 gamma=90.00
Element x y z (fractional)
O 0.3442 0.1558 0.8442
O 0.6558 0.6558 0.6558
O 0.1558 0.8442 0.3442
O 0.8442 0.3442 0.1558
S 0.3308 0.3308 0.3308
S 0.6692 0.8308 0.1692
S 0.8308 0.1692 0.6692
S 0.1692 0.6692 0.8308
Zr 0.4294 0.9294 0.5706
Zr 0.5706 0.4294 0.9294
Zr 0.0706 0.0706 0.0706
Zr 0.9294 0.5706 0.4294


No. 6
Entry from Materials Project: a relaxed Li2ZrF6 crystal (PBE).

Properties
Distance to the lowest polymorph of the same formula (meV/atom): 6
DFT total energy (eV per cell): -216.560
Space group: P2_1/c, No. 14
Energy of formation from the pure elements (eV per atom): -3.6732

Unit cell a=5.0359 b=7.5535 c=11.1527 alpha=72.98 beta=90.00 gamma=90.00
Element x y z (fractional)
Li 0.9737 0.9616 0.1632
Li 0.0263 0.0384 0.8368
Li 0.4930 0.4104 0.6932
Li 0.9930 0.5896 0.8068
Li 0.5070 0.5896 0.3068
Li 0.0070 0.4104 0.1932
Li 0.4737 0.0384 0.3368
Li 0.5263 0.9616 0.6632
F 0.7485 0.7511 0.6493
F 0.6500 0.7547 0.3970
F 0.3108 0.5447 0.9296
F 0.2515 0.2489 0.3507
F 0.2232 0.9523 0.5464
F 0.2825 0.6000 0.1560
F 0.6892 0.4553 0.0704
F 0.3500 0.2453 0.6030
F 0.1420 0.8963 0.3272
F 0.7175 0.4000 0.8440
F 0.8580 0.1037 0.6728
F 0.7768 0.0477 0.4536
F 0.2768 0.9523 0.0464
F 0.6420 0.1037 0.1728
F 0.1500 0.2453 0.1030
F 0.7232 0.0477 0.9536
F 0.7515 0.7511 0.1493
F 0.2485 0.2489 0.8507
F 0.8500 0.7547 0.8970
F 0.2175 0.6000 0.6560
F 0.1892 0.5447 0.4296
F 0.8108 0.4553 0.5704
F 0.7825 0.4000 0.3440
F 0.3580 0.8963 0.8272
Zr 0.9873 0.7461 0.5010
Zr 0.5127 0.7461 0.0010
Zr 0.0127 0.2539 0.4990
Zr 0.4873 0.2539 0.9990